DFT (r2SCAN) results for crystalline Nb3Se10Br3 at its relaxed geometry.

a b c (Å): 7.6254 19.5382 12.4982
angles (deg): 90.00 96.00 90.00
With the nearest neighbours (Å) after each atom.
Positions (direct):
1 Nb 0.1603 0.1484 0.1696  6 Se 2.57-2.73, 2 Br 2.72-2.73
2 Nb 0.1603 0.3516 0.1696  6 Se 2.57-2.73, 2 Br 2.72-2.73
3 Nb 0.2479 0.9999 0.2509  8 Se 2.65-2.71
4 Nb 0.2479 0.5001 0.2509  8 Se 2.65-2.71
5 Nb 0.3217 0.6483 0.3362  6 Se 2.57-2.73, 2 Br 2.71-2.74
6 Nb 0.3217 0.8517 0.3362  6 Se 2.57-2.73, 2 Br 2.71-2.74
7 Nb 0.6783 0.1483 0.6638  6 Se 2.57-2.73, 2 Br 2.71-2.74
8 Nb 0.6783 0.3517 0.6638  6 Se 2.57-2.73, 2 Br 2.71-2.74
9 Nb 0.7521 0.0001 0.7491  8 Se 2.65-2.71
10 Nb 0.7521 0.4999 0.7491  8 Se 2.65-2.71
11 Nb 0.8397 0.6484 0.8304  6 Se 2.57-2.73, 2 Br 2.72-2.73
12 Nb 0.8397 0.8516 0.8304  6 Se 2.57-2.73, 2 Br 2.72-2.73
13 Se 0.0394 0.6077 0.2090  1 Se 2.37
14 Se 0.0394 0.8923 0.2090  1 Se 2.37
15 Se 0.0491 0.5732 0.7324  1 Se 2.37, 1 Nb 2.57
16 Se 0.0491 0.9268 0.7324  1 Se 2.37, 1 Nb 2.57
17 Se 0.0713 0.5718 0.3910  1 Se 2.37, 1 Nb 2.57
18 Se 0.0713 0.9282 0.3910  1 Se 2.37, 1 Nb 2.57
19 Se 0.2103 0.1086 0.3738  1 Se 2.37
20 Se 0.2103 0.3914 0.3738  1 Se 2.37
21 Se 0.2246 0.0418 0.0470  1 Se 2.32
22 Se 0.2246 0.4582 0.0470  1 Se 2.32
23 Se 0.2715 0.2500 0.0425  1 Se 2.32
24 Se 0.3648 0.7500 0.1924  1 Se 2.32
25 Se 0.4004 0.2500 0.2189  1 Se 2.32
26 Se 0.4320 0.2500 0.6559  1 Se 2.32
27 Se 0.4564 0.0434 0.6357  1 Se 2.32
28 Se 0.4564 0.4566 0.6357  1 Se 2.32
29 Se 0.4622 0.0864 0.1558  1 Se 2.32
30 Se 0.4622 0.4136 0.1558  1 Se 2.32
31 Se 0.4943 0.5878 0.1918  1 Se 2.32
32 Se 0.4943 0.9122 0.1918  1 Se 2.32
33 Se 0.5057 0.0878 0.8082  1 Se 2.32
34 Se 0.5057 0.4122 0.8082  1 Se 2.32
35 Se 0.5378 0.5864 0.8442  1 Se 2.32
36 Se 0.5378 0.9136 0.8442  1 Se 2.32
37 Se 0.5436 0.5434 0.3643  1 Se 2.32
38 Se 0.5436 0.9566 0.3643  1 Se 2.32
39 Se 0.5680 0.7500 0.3441  1 Se 2.32
40 Se 0.5996 0.7500 0.7811  1 Se 2.32
41 Se 0.6352 0.2500 0.8076  1 Se 2.32
42 Se 0.7285 0.7500 0.9575  1 Se 2.32
43 Se 0.7754 0.5418 0.9530  1 Se 2.32
44 Se 0.7754 0.9582 0.9530  1 Se 2.32
45 Se 0.7897 0.6086 0.6262  1 Se 2.37
46 Se 0.7897 0.8914 0.6262  1 Se 2.37
47 Se 0.9287 0.0718 0.6090  1 Se 2.37, 1 Nb 2.57
48 Se 0.9287 0.4282 0.6090  1 Se 2.37, 1 Nb 2.57
49 Se 0.9509 0.0732 0.2676  1 Se 2.37, 1 Nb 2.57
50 Se 0.9509 0.4268 0.2676  1 Se 2.37, 1 Nb 2.57
51 Se 0.9606 0.1077 0.7910  1 Se 2.37
52 Se 0.9606 0.3923 0.7910  1 Se 2.37
53 Br 0.0340 0.7500 0.7500  2 Nb 2.73
54 Br 0.1025 0.7500 0.3933  2 Nb 2.74
55 Br 0.1259 0.6496 0.9796  1 Nb 2.72
56 Br 0.1259 0.8504 0.9796  1 Nb 2.72
57 Br 0.4015 0.6486 0.5530  1 Nb 2.71
58 Br 0.4015 0.8514 0.5530  1 Nb 2.71
59 Br 0.5985 0.1486 0.4470  1 Nb 2.71
60 Br 0.5985 0.3514 0.4470  1 Nb 2.71
61 Br 0.8741 0.1496 0.0204  1 Nb 2.72
62 Br 0.8741 0.3504 0.0204  1 Nb 2.72
63 Br 0.8975 0.2500 0.6067  2 Nb 2.74
64 Br 0.9660 0.2500 0.2500  2 Nb 2.73

DFT (r2SCAN) results for crystalline NbTeBr3 at its relaxed geometry.

a b c (Å): 6.8657 7.4040 12.7667
angles (deg): 90.00 97.75 90.00
With the nearest neighbours (Å) after each atom.
Positions (direct):
1 Nb 0.0685 0.1401 0.1483  5 Br 2.56-2.78, 1 Te 2.80
2 Nb 0.0685 0.8599 0.6483  5 Br 2.56-2.78, 1 Te 2.80
3 Nb 0.9315 0.1401 0.3517  5 Br 2.56-2.78, 1 Te 2.80
4 Nb 0.9315 0.8599 0.8517  5 Br 2.56-2.78, 1 Te 2.80
5 Te 0.1820 0.4174 0.3041  1 Te 2.69, 2 Nb 2.80-2.89
6 Te 0.1820 0.5826 0.8041  1 Te 2.69, 2 Nb 2.80-2.89
7 Te 0.8180 0.4174 0.1959  1 Te 2.69, 2 Nb 2.80-2.89
8 Te 0.8180 0.5826 0.6959  1 Te 2.69, 2 Nb 2.80-2.89
9 Br 0.1461 0.1758 0.5431  2 Nb 2.69-2.78
10 Br 0.1461 0.8242 0.0431  2 Nb 2.69-2.78
11 Br 0.2454 0.0527 0.8030  2 Nb 2.60-2.73
12 Br 0.2454 0.9473 0.3030  2 Nb 2.60-2.73
13 Br 0.3588 0.2703 0.0670  1 Nb 2.56
14 Br 0.3588 0.7297 0.5670  1 Nb 2.56
15 Br 0.6412 0.2703 0.4330  1 Nb 2.56
16 Br 0.6412 0.7297 0.9330  1 Nb 2.56
17 Br 0.7546 0.0527 0.6970  2 Nb 2.60-2.73
18 Br 0.7546 0.9473 0.1970  2 Nb 2.60-2.73
19 Br 0.8539 0.1758 0.9569  2 Nb 2.69-2.78
20 Br 0.8539 0.8242 0.4569  2 Nb 2.69-2.78

DFT (r2SCAN) results for crystalline NdBrO at its relaxed geometry.

a b c (Å): 4.0284 4.0284 7.8993
angles (deg): 90.00 90.00 90.00
With the nearest neighbours (Å) after each atom.
Positions (direct):
1 Nd 0.2500 0.2500 0.1505  4 O 2.34
2 Nd 0.7500 0.7500 0.8495  4 O 2.34
3 Br 0.2500 0.2500 0.6502  4 Nd 3.25, 4 O 3.42
4 Br 0.7500 0.7500 0.3498  4 Nd 3.25, 4 O 3.42
5 O 0.2500 0.7500 0.0000  4 Nd 2.34
6 O 0.7500 0.2500 0.0000  4 Nd 2.34

DFT (r2SCAN) results for crystalline Rb2NdBr5 at its relaxed geometry.

a b c (Å): 13.8146 9.3505 8.6525
angles (deg): 90.00 90.00 90.00
With the nearest neighbours (Å) after each atom.
Positions (direct):
1 Rb 0.1716 0.0046 0.0592  8 Br 3.43-3.69
2 Rb 0.1716 0.4954 0.0592  8 Br 3.43-3.69
3 Rb 0.3284 0.5046 0.5592  8 Br 3.43-3.69
4 Rb 0.3284 0.9954 0.5592  8 Br 3.43-3.69
5 Rb 0.6716 0.0046 0.4408  8 Br 3.43-3.69
6 Rb 0.6716 0.4954 0.4408  8 Br 3.43-3.69
7 Rb 0.8284 0.5046 0.9408  8 Br 3.43-3.69
8 Rb 0.8284 0.9954 0.9408  8 Br 3.43-3.69
9 Nd 0.0056 0.2500 0.5752  7 Br 2.93-3.04
10 Nd 0.4944 0.7500 0.0752  7 Br 2.93-3.04
11 Nd 0.5056 0.2500 0.9248  7 Br 2.93-3.04
12 Nd 0.9944 0.7500 0.4248  7 Br 2.93-3.04
13 Br 0.0098 0.2500 0.9171  1 Nd 2.96
14 Br 0.0725 0.5442 0.6663  2 Nd 3.01-3.04
15 Br 0.0725 0.9558 0.6663  2 Nd 3.01-3.04
16 Br 0.1787 0.2500 0.3801  1 Nd 2.93
17 Br 0.2008 0.7500 0.3452  1 Nd 2.93
18 Br 0.2992 0.2500 0.8452  1 Nd 2.93
19 Br 0.3213 0.7500 0.8801  1 Nd 2.93
20 Br 0.4275 0.0442 0.1663  2 Nd 3.01-3.04
21 Br 0.4275 0.4558 0.1663  2 Nd 3.01-3.04
22 Br 0.4902 0.7500 0.4171  1 Nd 2.96
23 Br 0.5098 0.2500 0.5829  1 Nd 2.96
24 Br 0.5725 0.5442 0.8337  2 Nd 3.01-3.04
25 Br 0.5725 0.9558 0.8337  2 Nd 3.01-3.04
26 Br 0.6787 0.2500 0.1199  1 Nd 2.93
27 Br 0.7008 0.7500 0.1548  1 Nd 2.93
28 Br 0.7992 0.2500 0.6548  1 Nd 2.93
29 Br 0.8213 0.7500 0.6199  1 Nd 2.93
30 Br 0.9275 0.0442 0.3337  2 Nd 3.01-3.04
31 Br 0.9275 0.4558 0.3337  2 Nd 3.01-3.04
32 Br 0.9902 0.7500 0.0829  1 Nd 2.96

DFT (r2SCAN) results for crystalline NdSBr at its relaxed geometry.

a b c (Å): 7.0536 7.0921 6.9812
angles (deg): 90.00 99.91 90.00
With the nearest neighbours (Å) after each atom.
Positions (direct):
1 Nd 0.1816 0.0347 0.2906  4 S 2.82-2.84, 3 Br 3.03-3.15
2 Nd 0.1816 0.4653 0.7906  4 S 2.82-2.84, 3 Br 3.03-3.15
3 Nd 0.8184 0.5347 0.2094  4 S 2.82-2.84, 3 Br 3.03-3.15
4 Nd 0.8184 0.9653 0.7094  4 S 2.82-2.84, 3 Br 3.03-3.15
5 S 0.0517 0.7413 0.5086  4 Nd 2.82-2.84
6 S 0.0517 0.7587 0.0086  4 Nd 2.82-2.84
7 S 0.9483 0.2413 0.9914  4 Nd 2.82-2.84
8 S 0.9483 0.2587 0.4914  4 Nd 2.82-2.84
9 Br 0.4185 0.1210 0.7067  3 Nd 3.03-3.15
10 Br 0.4185 0.3790 0.2067  3 Nd 3.03-3.15
11 Br 0.5815 0.6210 0.7933  3 Nd 3.03-3.15
12 Br 0.5815 0.8790 0.2933  3 Nd 3.03-3.15

DFT (r2SCAN) results for crystalline NiBr2 at its relaxed geometry.

a b c (Å): 3.6657 3.6657 19.6073
angles (deg): 90.00 90.00 120.00
With the nearest neighbours (Å) after each atom.
Positions (direct):
1 Ni 0.0000 0.0000 0.0000  6 Br 2.55
2 Ni 0.3333 0.6667 0.6667  6 Br 2.55
3 Ni 0.6667 0.3333 0.3333  6 Br 2.55
4 Br 0.0000 0.0000 0.2611  3 Ni 2.55
5 Br 0.0000 0.0000 0.7389  3 Ni 2.55
6 Br 0.3333 0.6667 0.4056  3 Ni 2.55
7 Br 0.3333 0.6667 0.9278  3 Ni 2.55
8 Br 0.6667 0.3333 0.0722  3 Ni 2.55
9 Br 0.6667 0.3333 0.5944  3 Ni 2.55

| no. | energy of formation from the pure elements (eV/atom) |
| --- | --- |
| 1 | -0.73 |
| 2 | -0.91 |
| 3 | -3.20 |
| 4 | -2.14 |
| 5 | -2.31 |
| 6 | -0.70 |